# Cd3Ge

An optimized crystal structure of Cd3Ge (GGA-PBE, the Materials Project database).

Output
Total magnetic moment: 0.00 μB per atom
SG: I4/mmm
Crystal system: tetragonal
ΔH_f (0 K): 0.127 eV/atom

Structure (extended XYZ):
```
4
Lattice="1.522 -0.548 5.309 -1.152 4.574 2.924 -3.008 -3.165 -3.426" Properties=species:S:1:pos:R:3 pbc="T T T"
Cd -0.650 -0.850 3.000
Cd -1.987 1.711 1.807
Cd 0.185 2.013 4.116
Ge 0.000 0.000 0.000
```

***

# NaLi2Ru6O12

An optimized crystal structure of NaLi2Ru6O12 (GGA-PBE, the Materials Project database).

Output
Energy with MP2020 corrections: -7.258 eV per atom
Total magnetic moment: 0.00 μB per atom
SG: P-1
Crystal system: triclinic
ΔH_f (0 K): -1.536 eV/atom
Offset from the most stable computed form: 0.000 eV/atom

Structure (extended XYZ):
```
42
Lattice="-4.879 -1.006 2.610 4.353 1.221 8.368 -1.558 7.891 -5.726" Properties=species:S:1:pos:R:3 pbc="T T T"
Na 0.613 0.453 10.199
Na -2.698 7.651 -4.948
Li -4.310 4.677 1.462
Li 2.225 3.428 3.789
Li -1.878 5.208 0.245
Li -0.207 2.897 5.007
Ru -3.131 2.405 2.911
Ru 1.046 5.699 2.340
Ru -0.438 2.989 1.551
Ru -1.647 5.116 3.700
Ru -2.649 -0.275 5.172
Ru 0.564 8.379 0.079
Ru -0.463 0.186 3.922
Ru -1.621 7.919 1.329
Ru 1.207 3.359 7.664
Ru -3.292 4.745 -2.413
Ru 3.388 3.807 6.396
Ru -5.473 4.297 -1.145
O -1.282 4.655 -1.928
O -0.803 3.450 7.179
O -3.553 4.189 -0.469
O 1.468 3.915 5.721
O 1.393 1.361 7.468
O -3.478 6.744 -2.217
O -1.216 0.809 8.529
O -0.869 7.296 -3.277
O -0.854 6.049 5.314
O -1.231 2.056 -0.062
O 1.782 6.396 4.117
O -3.867 1.709 1.134
O -1.357 1.483 2.585
O -0.728 6.622 2.667
O -3.749 0.747 3.819
O 1.664 7.358 1.433
O 0.236 4.712 0.669
O -2.321 3.393 4.582
O -2.182 3.997 2.008
O 0.097 4.108 3.243
O -0.925 7.044 -0.371
O -1.160 1.061 5.622
O -3.244 6.668 1.064
O 1.159 1.436 4.188
```

***

# UTiNb2O10

An optimized crystal structure of UTiNb2O10 (GGA-PBE, the Materials Project database).

Output
Energy with MP2020 corrections: -9.633 eV per atom
Total magnetic moment: 0.00 μB per atom
SG: Fddd
Crystal system: orthorhombic
ΔH_f (0 K): -3.286 eV/atom

Structure (extended XYZ):
```
28
Lattice="0.000 6.304 8.643 3.652 0.000 8.643 3.652 6.304 0.000" Properties=species:S:1:pos:R:3 pbc="T T T"
U 5.478 9.456 12.965
U 3.652 6.304 8.643
Ti 1.826 3.152 4.322
Ti 0.000 0.000 0.000
Nb 1.826 3.152 0.509
Nb 3.652 6.304 13.473
Nb 1.826 3.152 8.135
Nb 3.652 6.304 3.813
O 3.652 8.868 8.643
O 5.478 12.019 12.965
O 3.282 8.181 12.988
O 3.652 6.304 10.448
O 5.849 5.029 8.666
O 1.456 5.029 8.620
O 3.652 3.740 8.643
O 4.023 4.426 12.988
O 5.478 6.892 12.965
O 1.456 7.578 8.666
O 3.282 4.426 4.299
O 1.826 3.152 2.321
O 1.826 3.152 6.322
O 5.478 9.456 14.770
O 3.652 6.304 6.838
O 3.652 6.304 2.000
O 5.478 9.456 11.159
O 3.652 6.304 15.286
O 4.023 8.181 4.299
O 5.849 7.578 8.620
```

***

# Lu11Ge10

An optimized crystal structure of Lu11Ge10 (GGA-PBE, the Materials Project database).

Output
SG: I4/mmm
Crystal system: tetragonal
ΔH_f (0 K): -0.810 eV/atom

Structure (extended XYZ):
```
42
Lattice="2.998 -8.899 5.771 -4.198 3.926 9.405 -6.041 -0.786 -9.186" Properties=species:S:1:pos:R:3 pbc="T T T"
Lu 0.639 -7.162 2.945
Lu -4.426 -5.608 3.053
Lu -4.738 2.423 5.661
Lu -6.244 -2.368 3.971
Lu -7.880 1.402 3.046
Lu -2.814 -0.151 2.937
Lu -2.502 -8.183 0.330
Lu -0.997 -3.391 2.019
Lu -2.350 -1.158 -0.565
Lu -4.891 -4.602 6.556
Lu -2.925 1.657 8.762
Lu 1.725 -6.630 6.414
Lu -0.792 -3.285 10.023
Lu -0.407 -1.689 5.153
Lu -4.044 -1.980 9.220
Lu -3.443 -4.803 -0.108
Lu -1.710 -6.140 8.041
Lu -5.777 -0.643 1.070
Lu -3.196 -3.780 -3.229
Lu -3.797 -0.957 6.098
Lu -5.530 0.380 -2.051
Lu -1.464 -5.117 4.920
Ge -1.094 -3.481 -1.227
Ge -1.949 -6.204 -2.187
Ge -6.559 2.011 0.140
Ge -3.680 1.128 0.079
Ge -1.061 -4.397 13.418
Ge -0.139 -0.576 1.758
Ge -5.031 -2.480 -1.210
Ge -2.209 -3.280 7.201
Ge -1.472 -0.933 8.028
Ge 0.272 -4.041 7.148
Ge -1.821 -6.086 2.087
Ge -5.419 0.326 3.904
Ge -3.601 -4.755 9.651
Ge -4.072 -2.796 1.805
Ge 0.693 -6.071 9.559
Ge -2.325 -0.693 11.083
Ge -3.640 -1.005 -3.661
Ge -3.169 -2.963 4.185
Ge -1.893 1.098 5.617
Ge 1.125 -4.280 4.093
```

***

# DyFe6Sn6

An optimized crystal structure of DyFe6Sn6 (GGA-PBE, the Materials Project database).

Output
Total magnetic moment: 0.99 μB per atom
SG: Cmmm
Crystal system: orthorhombic
ΔH_f (0 K): -0.106 eV/atom
Offset from the most stable computed form: 0.006 eV/atom

Structure (extended XYZ):
```
65
Lattice="-13.257 18.467 6.190 10.878 -17.771 -10.997 -6.619 -5.578 2.467" Properties=species:S:1:pos:R:3 pbc="T T T"
Dy -2.081 -6.071 -2.891
Dy -6.916 1.188 0.552
Dy 6.055 -10.529 -7.562
Dy -8.433 11.225 2.755
Dy -3.309 -2.789 1.234
Fe -9.178 1.424 3.227
Fe -7.664 6.206 1.648
Fe 0.181 -6.307 -5.566
Fe -10.986 3.406 2.887
Fe -11.600 5.044 4.948
Fe -7.058 4.562 -0.411
Fe -3.129 -9.096 -4.332
Fe -7.946 -1.844 -0.899
Fe -6.756 -2.192 1.505
Fe -2.240 -2.690 -3.845
Fe -1.332 -11.088 -3.988
Fe -4.344 -5.814 -0.212
Fe 3.506 -18.324 -7.429
Fe 6.803 -15.545 -8.658
Fe -2.851 -1.053 -1.784
Fe -4.653 0.932 -2.127
Fe 3.792 -10.274 -4.884
Fe 0.468 -13.075 -3.645
Fe -10.367 1.772 0.822
Fe -5.868 4.214 1.993
Fe -5.534 -5.466 -2.617
Fe -15.800 10.663 6.319
Fe -12.503 13.441 5.089
Fe -1.051 -3.038 -1.440
Fe -1.939 -9.444 -1.928
Fe -3.463 0.584 0.278
Fe -8.276 7.845 3.709
Fe 1.989 -8.289 -5.226
Fe -6.145 -3.829 -0.556
Fe 1.370 -6.655 -3.162
Sn 9.273 -15.360 -9.853
Sn -12.836 7.505 4.395
Sn 5.961 -18.146 -8.618
Sn 2.831 -5.689 -5.266
Sn 7.667 -12.949 -8.710
Sn -8.529 3.611 1.700
Sn -5.210 6.385 0.460
Sn -1.997 1.561 -1.828
Sn -14.958 13.264 6.279
Sn -4.304 -7.923 -2.059
Sn -9.120 -0.691 1.370
Sn -0.468 -8.493 -4.040
Sn 1.645 -14.237 -5.916
Sn 3.839 -12.388 -6.734
Sn 0.123 -4.192 -3.710
Sn 4.441 -8.106 -6.413
Sn -11.651 16.056 5.047
Sn -10.129 6.014 2.840
Sn -13.343 10.839 5.129
Sn 4.347 -15.722 -7.468
Sn -5.521 -4.653 2.058
Sn -10.642 9.354 3.577
Sn -1.098 -0.925 0.409
Sn -6.819 8.801 1.606
Sn 1.133 -10.896 -5.180
Sn -4.693 3.040 -0.280
Sn -0.381 -0.866 -2.979
Sn -5.305 -1.231 -0.596
Sn -3.692 -3.652 -1.744
Sn -10.045 13.645 3.903
```

***

# LaMg14Fe

An optimized crystal structure of LaMg14Fe (GGA-PBE, the Materials Project database).

Output
Total magnetic moment: 0.00 μB per atom
SG: Amm2
Crystal system: orthorhombic
ΔH_f (0 K): 0.107 eV/atom
Offset from the most stable computed form: 0.000 eV/atom

Structure (extended XYZ):
```
16
Lattice="-5.769 -2.399 -1.904 4.122 -3.920 2.045 -3.666 1.171 9.633" Properties=species:S:1:pos:R:3 pbc="T T T"
La 2.137 -3.376 2.620
Mg -1.843 -0.932 6.394
Mg 0.178 -2.939 7.407
Mg -2.741 -2.622 0.672
Mg -4.753 -2.129 5.432
Mg -0.760 -4.506 1.655
Mg -2.661 -4.118 6.470
Mg -2.623 -1.080 3.330
Mg -4.451 -0.496 8.133
Mg -0.615 -2.990 4.327
Mg -2.443 -2.406 9.130
Mg -5.520 -2.415 2.029
Mg -7.585 -1.755 7.455
Mg -3.501 -4.161 3.546
Mg -5.214 -3.614 8.046
Fe -0.115 -1.641 1.552
```

***

# MgH22SO15

An optimized crystal structure of MgH22SO15 (GGA-PBE, the Materials Project database).

Output
Energy with MP2020 corrections: -5.415 eV per atom
SG: P-1
Crystal system: triclinic
ΔH_f (0 K): -1.451 eV/atom

Structure (extended XYZ):
```
78
Lattice="-6.782 0.000 0.000 3.152 6.114 0.000 -0.195 -0.659 -17.449" Properties=species:S:1:pos:R:3 pbc="T T T"
Mg 0.000 0.000 0.000
Mg -0.097 -0.330 -8.725
H -1.360 4.655 -0.889
H -2.466 0.799 -16.560
H -1.460 4.319 -16.786
H -2.365 1.136 -0.663
H 0.468 2.425 -1.292
H -4.294 3.029 -16.157
H -4.959 1.599 -1.340
H 1.133 3.855 -16.109
H 2.702 5.765 -2.709
H -6.528 -0.311 -14.740
H 1.622 4.867 -1.938
H -5.448 0.587 -15.511
H -1.740 0.501 -6.692
H -2.086 4.953 -10.757
H -0.322 0.310 -5.991
H -3.503 5.145 -11.458
H -4.563 1.147 -9.165
H 0.737 4.308 -8.284
H -4.477 0.562 -7.684
H 0.652 4.892 -9.765
H -3.407 3.810 -6.936
H -0.418 1.644 -10.513
H -1.996 3.898 -7.639
H -1.830 1.557 -9.810
H -0.157 3.386 -6.225
H -3.669 2.068 -11.224
H -0.313 2.417 -7.439
H -3.513 3.037 -10.010
H -3.418 0.686 -2.720
H -0.407 4.769 -14.729
H -2.866 2.162 -2.541
H -0.960 3.292 -14.908
H -3.562 0.060 -5.521
H -0.263 5.394 -11.928
H -3.605 1.582 -5.928
H -0.220 3.873 -11.521
H -3.238 3.410 -4.682
H -0.588 2.044 -12.767
H -4.810 3.376 -4.977
H 0.984 2.078 -12.472
H 0.316 1.374 -4.195
H -4.141 4.080 -13.254
H -5.601 0.043 -4.167
H 1.776 5.412 -13.282
S -0.651 4.025 -3.509
S -3.174 1.429 -13.940
O -1.853 5.050 -0.137
O -1.973 0.405 -17.312
O -5.878 1.605 -0.967
O 2.052 3.849 -16.482
O 2.461 5.371 -1.836
O -6.287 0.083 -15.613
O -0.758 0.434 -6.876
O -3.067 5.021 -10.573
O -5.061 0.624 -8.485
O 1.235 4.831 -8.964
O -2.961 4.086 -7.781
O -0.864 1.368 -9.668
O -0.064 4.005 -2.140
O -3.761 1.449 -15.309
O 0.242 3.274 -4.459
O -4.067 2.180 -12.990
O -0.761 5.456 -3.967
O -3.065 -0.002 -13.482
O -2.000 3.408 -3.500
O -1.826 2.047 -13.949
O -0.322 3.375 -7.203
O -3.504 2.080 -10.246
O -3.348 1.431 -2.079
O -0.477 4.023 -15.370
O -3.407 0.670 -6.288
O -0.418 4.784 -11.161
O -3.921 3.210 -5.378
O 0.096 2.244 -12.071
O -6.520 0.392 -4.294
O 2.694 5.062 -13.155
```

***

Number 1: energy -1.7208 eV per atom. Number 2: energy -6.8657 eV per atom. Number 3: energy -9.1427 eV per atom. Number 4: energy -5.3800 eV per atom. Number 5: energy -6.2205 eV per atom. Number 6: energy -2.1315 eV per atom. Number 7: energy -5.1503 eV per atom.